Record 1
The following is a DFT calculation (PBE-GGA) of an optimized crystal structure of Ir3N10Cl10.

Summary:
M_tot: 4.65 μB/f.u.
crystal system: monoclinic

abc: 6.823 6.823 15.336
angles: 83.09 83.09 100.57
Sites, in units of the cell vectors:
Cl1 0.888 0.888 0.616
N1 0.078 0.532 0.483
Cl2 0.736 0.736 0.999
Cl3 0.536 0.536 0.357
Cl4 0.218 0.782 0.000
N2 0.532 0.078 0.483
N3 0.879 0.603 0.813
Cl5 0.264 0.264 0.001
Cl6 0.782 0.218 0.000
N4 0.497 0.497 0.255
N5 0.121 0.397 0.187
N6 0.503 0.503 0.745
N7 0.397 0.121 0.187
Ir1 0.731 0.731 0.753
Cl7 0.464 0.464 0.643
Ir2 0.000 0.000 0.000
Cl8 0.949 0.949 0.155
Cl9 0.112 0.112 0.384
Ir3 0.269 0.269 0.247
N8 0.922 0.468 0.517
Cl10 0.051 0.051 0.845
N9 0.603 0.879 0.813
N10 0.468 0.922 0.517

Record 2
The following is a DFT calculation (PBE-GGA) of an optimized crystal structure of Ir2OsN10Cl10.

Summary:
M_tot: 6.00 μB/f.u.
crystal system: monoclinic

abc: 6.707 6.707 16.917
angles: 76.33 76.33 73.06
Sites, in units of the cell vectors:
Ir1 0.555 0.555 0.754
N1 0.906 0.766 0.472
Cl1 0.713 0.287 0.000
Cl2 0.790 0.790 0.995
Cl3 0.853 0.853 0.673
Ir2 0.445 0.445 0.246
N2 0.326 0.689 0.194
Cl4 0.925 0.925 0.144
N3 0.736 0.736 0.763
N4 0.094 0.234 0.528
N5 0.234 0.094 0.528
Cl5 0.075 0.075 0.856
N6 0.311 0.674 0.806
Cl6 0.461 0.461 0.377
N7 0.674 0.311 0.806
N8 0.689 0.326 0.194
N9 0.766 0.906 0.472
Cl7 0.287 0.713 0.000
Os1 0.000 0.000 0.000
Cl8 0.539 0.539 0.623
Cl9 0.147 0.147 0.327
N10 0.264 0.264 0.237
Cl10 0.210 0.210 0.005

Record 3
The following is a DFT calculation (PBE-GGA) of an optimized crystal structure of Ir2OsN10Cl10.

Summary:
M_tot: 6.75 μB/f.u.
crystal system: monoclinic

abc: 7.284 7.284 11.913
angles: 75.90 75.90 69.46
Sites, in units of the cell vectors:
Os1 0.000 0.000 0.000
Ir1 0.332 0.332 0.291
N1 0.501 0.191 0.453
Cl1 0.280 0.720 0.000
N2 0.489 0.489 0.238
Cl2 0.879 0.879 0.597
Cl3 0.043 0.043 0.799
N3 0.534 0.885 0.770
Cl4 0.196 0.196 0.983
Cl5 0.652 0.652 0.477
N4 0.115 0.466 0.230
Ir2 0.668 0.668 0.709
Cl6 0.804 0.804 0.017
N5 0.809 0.499 0.547
N6 0.499 0.809 0.547
N7 0.191 0.501 0.453
Cl7 0.121 0.121 0.403
Cl8 0.957 0.957 0.201
Cl9 0.348 0.348 0.523
N8 0.466 0.115 0.230
N9 0.885 0.534 0.770
N10 0.511 0.511 0.762
Cl10 0.720 0.280 0.000

Record 4
The following is a DFT calculation (PBE-GGA) of an optimized crystal structure of Ir2PtN10Cl10.

Summary:
M_tot: 6.00 μB/f.u.
crystal system: monoclinic

abc: 7.395 7.395 11.186
angles: 77.22 77.22 68.79
Sites, in units of the cell vectors:
Cl1 0.369 0.369 0.111
N1 0.002 0.693 0.929
Ir1 0.171 0.171 0.235
N2 0.036 0.380 0.314
N3 0.380 0.036 0.314
Cl2 0.221 0.779 0.500
Cl3 0.684 0.684 0.526
Cl4 0.422 0.422 0.716
N4 0.998 0.307 0.071
Cl5 0.779 0.221 0.500
Ir2 0.829 0.829 0.765
Cl6 0.316 0.316 0.474
N5 0.307 0.998 0.071
Pt1 0.500 0.500 0.500
N6 0.620 0.964 0.686
N7 0.018 0.018 0.289
N8 0.964 0.620 0.686
N9 0.693 0.002 0.929
Cl7 0.147 0.147 0.997
Cl8 0.631 0.631 0.889
Cl9 0.853 0.853 0.003
Cl10 0.578 0.578 0.284
N10 0.982 0.982 0.711

Record 5
The following is a DFT calculation (PBE-GGA) of an optimized crystal structure of ReIr2N10Cl10.

Summary:
M_tot: 3.00 μB/f.u.
crystal system: monoclinic

abc: 7.391 7.391 11.926
angles: 76.57 76.57 71.27
Sites, in units of the cell vectors:
Cl1 0.731 0.269 0.000
N1 0.803 0.504 0.549
N2 0.886 0.546 0.765
Cl2 0.879 0.879 0.599
N3 0.488 0.488 0.232
Cl3 0.036 0.036 0.801
N4 0.454 0.114 0.235
N5 0.114 0.454 0.235
N6 0.504 0.803 0.549
Ir1 0.666 0.666 0.710
N7 0.197 0.496 0.451
Ir2 0.334 0.334 0.290
N8 0.496 0.197 0.451
Cl4 0.805 0.805 0.020
Cl5 0.121 0.121 0.401
Cl6 0.652 0.652 0.480
N9 0.546 0.886 0.765
N10 0.512 0.512 0.768
Cl7 0.964 0.964 0.199
Cl8 0.348 0.348 0.520
Cl9 0.269 0.731 0.000
Re1 0.000 0.000 0.000
Cl10 0.195 0.195 0.980

Record 6
The following is a DFT calculation (PBE-GGA) of an optimized crystal structure of IrRhN5Cl7.

Summary:
M_tot: 5.50 μB/f.u.
crystal system: monoclinic

abc: 7.811 10.731 14.862
angles: 75.79 90.00 90.00
Sites, in units of the cell vectors:
Cl1 0.750 0.656 0.520
Cl2 0.545 0.544 0.364
Rh1 0.250 0.767 0.621
N1 0.923 0.310 0.916
Cl3 0.960 0.850 0.356
Ir1 0.750 0.701 0.362
N2 0.500 0.806 0.598
Cl4 0.750 0.526 0.979
Cl5 0.250 0.474 0.021
N3 0.750 0.291 0.495
Cl6 0.750 0.836 0.968
N4 0.577 0.076 0.874
N5 0.750 0.287 0.744
Cl7 0.543 0.287 0.140
Cl8 0.750 0.898 0.745
Cl9 0.045 0.456 0.636
N6 0.250 0.713 0.256
Cl10 0.250 0.976 0.492
N7 0.250 0.911 0.688
N8 0.000 0.806 0.598
Cl11 0.250 0.164 0.032
N9 0.077 0.690 0.084
N10 0.250 0.629 0.708
Rh2 0.750 0.218 0.860
N11 0.923 0.076 0.874
N12 0.750 0.089 0.312
Cl12 0.043 0.713 0.860
Cl13 0.250 0.102 0.255
N13 0.000 0.194 0.402
Cl14 0.750 0.096 0.035
Cl15 0.540 0.850 0.356
Cl16 0.250 0.255 0.799
Cl17 0.460 0.150 0.644
N14 0.423 0.690 0.084
Cl18 0.250 0.411 0.244
Rh3 0.250 0.782 0.140
Cl19 0.750 0.745 0.201
Cl20 0.750 0.589 0.756
Ir2 0.250 0.299 0.638
N15 0.250 0.709 0.505
Cl21 0.750 0.024 0.508
N16 0.577 0.310 0.916
Cl22 0.455 0.456 0.636
Ir3 0.250 0.287 0.138
N17 0.423 0.924 0.126
N18 0.500 0.194 0.402
Cl23 0.250 0.904 0.965
N19 0.750 0.371 0.292
Cl24 0.250 0.344 0.480
Cl25 0.040 0.150 0.644
Rh4 0.750 0.233 0.379
Ir4 0.750 0.713 0.862
Cl26 0.957 0.287 0.140
Cl27 0.955 0.544 0.364
Cl28 0.457 0.713 0.860
N20 0.077 0.924 0.126

no.,electronic total energy (eV/cell)
1,-115.57
2,-118.54
3,-102.92
4,-97.14
5,-105.68
6,-211.62